1.
Computed, not measured: a geometry-optimized Ba5P3BrO12 structure at the GGA-PBE level of DFT.

The structure in extended XYZ format:
```
42
Lattice="5.2617 -9.1136 0.0000 5.2617 9.1136 0.0000 0.0000 0.0000 7.7647" Properties=species:S:1:pos:R:3 pbc="T T T"
Ba 2.7357 -0.1106 5.8235
O 4.2906 -5.8455 3.2095
P 2.3445 3.3813 5.8235
O 3.3158 -0.7931 0.6728
O 6.1851 -1.2053 5.8235
Ba 1.4636 2.3139 1.9412
P 7.0178 5.3926 5.8235
O 7.2077 0.7931 7.0919
O 3.6871 4.1942 5.8235
O 5.4758 -1.0960 1.9412
O 8.1788 -2.4751 0.6728
O 4.1364 4.7539 1.9412
Ba 5.2617 -3.0379 7.7609
O 6.3871 -4.7539 5.8235
O 5.0477 1.0960 5.8235
Br 0.0000 0.0000 3.8823
O 3.4730 -3.8234 1.9412
O 4.2906 -5.8455 0.6728
P 8.1790 -3.3813 1.9412
Ba 6.5339 6.6891 1.9412
Ba 5.2617 3.0379 0.0037
P 3.5057 -5.3926 1.9412
O 6.2329 5.8455 4.5551
P 6.4230 0.3397 5.8235
O 6.8364 -4.1942 1.9412
Ba 5.2617 3.0379 3.8786
Ba 7.7878 0.1106 1.9412
O 2.3447 2.4751 4.5551
O 3.3158 -0.7931 3.2095
O 3.2130 -3.1545 5.8235
Br 0.0000 0.0000 0.0000
Ba 5.2617 -3.0379 3.8861
O 7.2077 0.7931 4.5551
O 2.3447 2.4751 7.0919
Ba 3.9896 -6.6891 5.8235
P 4.1005 -0.3397 1.9412
O 7.3105 3.1545 1.9412
O 4.3384 1.2053 1.9412
O 7.0505 3.8234 5.8235
Ba 9.0599 -2.3139 5.8235
O 6.2329 5.8455 7.0919
O 8.1788 -2.4751 3.2095
```

Results
size of the total moment	0.00	μB/cell
crystal system	hexagonal
formation energy from the elements	-3.245	eV/atom
calculated volume	17.731	A^3/atom


2.
Computed, not measured: a geometry-optimized Ba3P3BrO10 structure at the GGA-PBE level of DFT.

The structure in extended XYZ format:
```
68
Lattice="-6.2856 -3.6172 1.1908 5.1909 -6.3968 7.9692 -3.5820 9.5040 9.9620" Properties=species:S:1:pos:R:3 pbc="T T T"
O -2.4881 -3.2059 14.9169
O -0.7332 -0.0256 10.6880
O -1.7717 4.7273 12.5756
O -4.5713 6.8321 8.5443
O 0.7532 -1.1389 14.5914
Ba -8.4245 4.5808 9.2684
P -4.1132 -1.8498 9.6128
Ba -4.1673 5.5681 11.2439
Ba -4.6878 1.7551 8.7058
O -3.5800 2.8415 6.4685
P -1.4056 2.0590 2.6214
O -3.5926 -3.0059 8.6589
O -3.0071 1.2189 17.7572
P -2.3578 -4.4806 14.1042
O -4.4398 0.5442 11.6539
Ba -4.4873 -3.6753 4.1553
P -5.2040 3.5053 14.2701
P -3.8536 -2.1045 1.1411
O -4.4551 -1.4373 2.3638
P -0.1324 -0.7493 15.9168
O 3.7285 -6.0066 7.3792
O 2.5198 -4.1599 11.4221
O -1.5805 0.5628 1.9703
O -5.3984 4.4375 8.8892
P -4.0421 -4.1638 7.5864
O -3.5113 2.8208 10.9698
O -2.2617 -4.2086 12.5917
Ba 1.6402 -1.6343 10.0449
O -2.5243 1.5975 12.9800
O -4.3143 3.1587 15.4441
Ba -1.7029 2.3921 15.5153
O 2.4869 -1.6763 12.9494
O -6.4205 -1.6630 4.6715
Br 0.2298 -4.6179 8.7437
P -1.7160 5.7727 13.6738
O -2.3597 -6.9189 10.6576
O -4.4396 -2.4330 10.9755
O -7.0776 5.9229 11.3528
P -1.4258 -0.2075 9.3249
O -6.4919 0.9192 6.6316
Br -5.1433 -0.7204 14.8995
O -1.9136 1.1170 8.7205
O -4.9333 2.5619 13.0234
Ba -0.4564 -2.8183 6.1738
O -1.5097 -0.3615 15.3541
Ba -0.9494 1.8741 6.1219
Br -2.9666 -0.8275 5.6258
O 2.0883 -1.8163 7.2486
O 2.0595 -4.2750 5.1347
O -6.7181 3.1625 14.5868
P 1.2212 -2.3252 13.6474
O -2.8619 -4.2364 6.6236
O -2.3346 -1.4988 0.8879
O 0.7193 -2.7086 3.6114
P -3.7731 1.8341 12.1194
O -2.7874 -1.0074 9.8198
O -1.6213 -4.5513 3.8513
Ba -0.5731 2.7790 10.9504
O -5.1874 -1.0136 8.9521
O 0.9291 -0.1362 5.7172
Ba -2.0132 -7.0413 7.9010
O -3.4936 8.4811 10.8774
Ba -2.3389 -1.2786 12.7998
Ba 0.1009 -5.5615 11.8514
Br -1.4732 5.1458 8.9750
O -0.6383 -1.1040 8.3878
O 0.2013 -2.5168 12.5398
P -1.2572 -0.3502 0.7136
```

Results
size of the total moment	0.00	μB/cell
crystal system	orthorhombic
formation energy from the elements	-3.069	eV/atom
calculated volume	17.623	A^3/atom


3.
Computed, not measured: a geometry-optimized Ba5Re3BrO15 structure at the GGA-PBE level of DFT.

The structure in extended XYZ format:
```
48
Lattice="1.0366 9.5789 -5.6685 -4.9118 -8.8257 -4.7898 -7.0504 2.4117 2.7861" Properties=species:S:1:pos:R:3 pbc="T T T"
Ba -0.9544 7.5950 -3.4709
Ba -4.4954 4.6581 -3.9731
O -6.1005 0.3594 -5.7829
O -10.2538 0.4368 -5.0023
Ba -5.3070 -5.8721 -2.8280
O -10.1218 -3.0185 -1.6773
O -1.8725 5.0093 -3.1748
O -3.3332 3.6385 -1.6183
O -5.5305 1.7205 -1.4031
Ba -2.7525 0.7880 -2.1288
O -7.0921 -4.1281 -4.4076
Re -1.7001 4.4776 -1.3908
Ba -0.9702 3.4522 -5.3661
O -5.6392 -2.7645 -5.9776
O -7.7299 1.0191 -3.1857
O -7.9360 -1.7974 -1.2693
Re -5.0018 7.7484 -1.2197
O -5.4235 5.9763 -1.6404
O -5.3201 2.7741 -5.8982
O -6.9547 3.4174 -3.3002
Ba -2.9530 -2.6826 -5.0732
O -6.4949 8.2034 -2.2130
O -3.1267 5.0092 -6.3488
Ba -4.9600 4.3616 0.5492
O -3.4652 7.0938 -4.9433
Re -8.6172 -3.4377 -0.6857
O -9.1903 -1.7975 -4.4433
O -3.3329 2.1927 -4.4324
O -0.5352 3.1561 -1.3625
O -8.2669 1.3012 -0.7224
Ba -6.5558 -0.5759 0.7849
Ba -8.0737 2.3429 -5.5827
O -4.1080 -0.2056 -4.3179
O -7.8123 -4.6891 -1.6291
O -7.4865 3.7158 -0.8377
Re -4.4619 1.1784 -5.5240
Re -4.0331 -2.7409 -1.0461
Br -6.8435 2.3410 2.7043
O -3.5607 0.8169 -6.9941
Ba -6.4782 -1.4768 -3.6802
O -6.5295 6.4351 -4.8363
Br -3.3183 1.1351 1.3113
O -3.6443 8.2070 -2.2448
Re -7.1518 2.2219 -1.8764
O -2.3155 -2.3523 -1.0995
O -4.5333 -3.2233 -2.7818
O -4.8742 -1.1295 -1.3906
O -8.7128 5.2048 -5.2299
```

Results
size of the total moment	0.01	μB/cell
crystal system	hexagonal
formation energy from the elements	-2.751	eV/atom
calculated volume	17.936	A^3/atom


4.
Computed, not measured: a geometry-optimized Ba7Ru4Br2O15 structure at the GGA-PBE level of DFT.

The structure in extended XYZ format:
```
28
Lattice="-13.4191 9.8749 -7.1686 -15.8186 4.5082 -7.6433 -16.3010 7.5181 -2.5942" Properties=species:S:1:pos:R:3 pbc="T T T"
O -18.7202 9.1587 -8.9128
O -25.4256 13.8815 -10.7040
Ba 0.0000 0.0000 0.0000
O -29.1266 12.4611 -10.2108
O -16.0598 6.0131 -5.1187
Ru -27.0910 13.0290 -10.3549
O -26.5853 11.2878 -10.9334
Ru -18.4476 8.8721 -7.0511
O -28.0417 14.8877 -9.9961
Ba -3.7074 1.7830 -1.4171
O -14.6188 7.1915 -7.4059
Ba -36.0426 17.3341 -13.7764
O -16.4120 9.4400 -7.1952
Br -6.5445 3.1475 -2.5015
Ba -32.4576 15.6100 -12.4061
Ba -41.8312 20.1181 -15.9890
O -20.1130 8.0196 -6.7021
Ru -29.4528 14.1649 -11.2576
O -14.8600 8.6965 -4.8814
Ru -16.0859 7.7363 -6.1484
O -17.7151 8.3744 -5.1269
Ba -9.4961 4.5670 -3.6296
Br -38.9941 18.7536 -14.9045
Ba -13.0811 6.2911 -4.9999
O -27.8236 13.5268 -12.2791
O -18.9533 10.6133 -6.4726
O -17.4970 7.0134 -7.4099
O -26.8184 12.7425 -8.4932
```

Results
size of the total moment	8.02	μB/cell
crystal system	trigonal
formation energy from the elements	-2.318	eV/atom
calculated volume	19.167	A^3/atom


5.
Computed, not measured: a geometry-optimized Ba8Ta2Ru3Br2O18 structure at the GGA-PBE level of DFT.

The structure in extended XYZ format:
```
33
Lattice="-2.9696 -5.1435 0.0000 5.9392 0.0000 0.0000 2.9696 1.7145 19.8877" Properties=species:S:1:pos:R:3 pbc="T T T"
O 1.6360 -4.3736 6.3910
O 5.9392 -1.8891 13.4966
O 1.4530 -2.5901 15.9037
Ba 2.9696 -1.7145 13.4754
Ta 0.0000 -3.4290 15.0337
O 2.9696 -0.0271 11.0994
Ba 5.9392 0.0000 11.2273
Ru 0.0000 -3.4290 12.1624
O 0.0000 -1.5399 6.3910
Ba 2.9696 -1.7145 17.7625
O 4.3032 0.9446 13.4966
Ba 5.9392 0.0000 15.4047
O 4.4863 -0.8389 3.9840
Ba 2.9696 -1.7145 2.1252
Br 0.0000 -3.4290 1.2063
O 1.5083 -2.5582 11.0994
Ru 2.9696 -1.7145 9.9438
O 2.9696 0.0368 15.9037
Ta 5.9392 0.0000 4.8539
Ru 5.9392 0.0000 7.7253
O 1.5083 -0.8708 8.7883
Br 5.9392 0.0000 18.6813
O 4.4862 -2.5901 15.9037
O 7.5753 0.9446 13.4966
O 4.4309 -0.8708 8.7883
O 2.9696 -3.4658 3.9840
O 4.4309 -2.5582 11.0994
O -1.6361 -4.3736 6.3910
Ba 0.0000 -3.4290 8.6603
O 1.4530 -0.8389 3.9840
O 2.9696 -3.4019 8.7883
Ba 2.9696 -1.7145 6.4123
Ba 0.0000 -3.4290 4.4830
```

Results
size of the total moment	6.00	μB/cell
crystal system	trigonal
formation energy from the elements	-2.715	eV/atom
calculated volume	18.410	A^3/atom


6.
Computed, not measured: a geometry-optimized Ba5SiBr6O4 structure at the GGA-PBE level of DFT.

The structure in extended XYZ format:
```
32
Lattice="7.7561 4.9951 0.0000 -7.7561 4.9951 0.0000 0.0000 3.1098 11.7678" Properties=species:S:1:pos:R:3 pbc="T T T"
O 0.3166 5.3760 4.3022
Si -1.1696 7.3274 8.8259
O -2.1694 8.5968 9.2386
O 0.3166 6.1690 1.5817
Ba 4.5009 5.7725 2.9420
Br 5.4390 3.8394 0.5751
Br -0.5085 9.2884 4.3132
O -0.3166 6.9309 10.1861
Ba 1.1956 8.7669 1.6021
Br 3.8780 4.0524 5.8839
O -0.3166 7.7239 7.4656
Br -5.4390 9.2605 11.1928
Ba 1.8816 7.1511 6.0814
Br 0.5085 3.8115 7.4546
Br 5.4390 7.7056 5.3089
Ba -4.5009 7.3274 8.8259
Br -3.9664 5.7725 2.9420
Ba 1.8816 7.5036 11.5704
Br -0.5085 2.2566 1.5707
Ba 1.1956 2.7781 4.2818
O -2.1694 6.0579 8.4131
O 2.1694 4.5031 2.5292
Br 3.9664 7.3274 8.8259
Br -5.4390 5.3943 6.4590
Br -3.8780 2.4975 0.0000
Br 0.5085 10.8433 10.1971
Ba -1.1956 10.3218 7.4860
Si 1.1696 5.7725 2.9420
O 2.1694 7.0419 3.3547
Ba -1.8816 5.5963 0.1974
Ba -1.1956 4.3330 10.1657
Ba -1.8816 5.9487 5.6865
```

Results
size of the total moment	0.00	μB/cell
crystal system	monoclinic
formation energy from the elements	-2.744	eV/atom
calculated volume	28.494	A^3/atom